Here is crystalline InCuPO5 at its relaxed geometry from the Materials Project database. Energies are from PBE.

Calculated values
Calculated formation energy ... -2.061 eV per atom
Space-group type ... Pnma (62)

a b c (Å): 6.715 7.380 7.931
angles (deg): 90.00 90.00 90.00
Sites, in units of the cell vectors:
O1 0.750 0.875 0.570
O2 0.250 0.989 0.741
O3 0.750 0.452 0.436
O4 0.437 0.731 0.877
O5 0.063 0.731 0.877
O6 0.063 0.769 0.377
O7 0.563 0.231 0.623
O8 0.250 0.952 0.064
O9 0.750 0.011 0.259
O10 0.250 0.511 0.241
O11 0.250 0.548 0.564
O12 0.250 0.375 0.930
O13 0.750 0.048 0.936
O14 0.563 0.269 0.123
O15 0.750 0.489 0.759
O16 0.250 0.125 0.430
O17 0.750 0.625 0.070
O18 0.437 0.769 0.377
O19 0.937 0.269 0.123
O20 0.937 0.231 0.623
In1 0.250 0.289 0.674
In2 0.750 0.711 0.326
In3 0.750 0.789 0.826
In4 0.250 0.211 0.174
P1 0.750 0.358 0.609
P2 0.250 0.642 0.391
P3 0.250 0.858 0.891
P4 0.750 0.142 0.109
Cu1 0.000 0.500 0.000
Cu2 0.000 0.000 0.500
Cu3 0.500 0.500 0.000
Cu4 0.500 0.000 0.500